No. 1
The following is a DFT calculation (PBE) of crystalline TiAu3 at its relaxed geometry.

Computed properties:
Total energy: -18.825 eV per formula unit
Mass density: 15.18 Mg/m³

```
data_TiAu3
_chemical_formula_sum 'Ti2 Au6'
_cell_length_a 4.236
_cell_length_b 4.236
_cell_length_c 7.788
_cell_angle_alpha 90.00
_cell_angle_beta 90.00
_cell_angle_gamma 90.00
_symmetry_space_group_name_H-M 'I 4/m m m'
_symmetry_Int_Tables_number 139
_symmetry_space_group_name_Hall '-I 4 2'
loop_
_atom_site_label
_atom_site_type_symbol
_atom_site_fract_x
_atom_site_fract_y
_atom_site_fract_z
Ti1 Ti 0.000 0.000 0.000
Au1 Au 0.000 0.000 0.500
Au2 Au 0.000 0.500 0.250
```


No. 2
The following is a DFT calculation (PBE) of crystalline SmH18Br3O18 at its relaxed geometry.

Computed properties:
Total energy: -195.182 eV per formula unit
Mass density: 2.74 Mg/m³

```
data_SmH18Br3O18
_chemical_formula_sum 'Sm2 H36 Br6 O36'
_cell_length_a 11.9566
_cell_length_b 11.9566
_cell_length_c 6.8094
_cell_angle_alpha 90.00
_cell_angle_beta 90.00
_cell_angle_gamma 120.00
_symmetry_space_group_name_H-M 'P 63 m c'
_symmetry_Int_Tables_number 186
_symmetry_space_group_name_Hall 'P 6c -2c'
loop_
_atom_site_label
_atom_site_type_symbol
_atom_site_fract_x
_atom_site_fract_y
_atom_site_fract_z
Sm1 Sm 0.3333 0.6667 0.0000
H1 H 0.1164 0.3678 0.0020
H2 H 0.1284 0.4980 0.3166
H3 H 0.1282 0.4981 0.6833
Br1 Br 0.1310 0.2620 0.5078
O1 O 0.0681 0.3632 0.4998
O2 O 0.0929 0.1859 0.2941
O3 O 0.1585 0.5792 0.2435
O4 O 0.1585 0.5792 0.7563
O5 O 0.2113 0.4225 0.9960
```


No. 3
The following is a DFT calculation (PBE) of crystalline SbP4O12 at its relaxed geometry.

Computed properties:
Total energy: -117.137 eV per formula unit
Offset from the most stable computed form: 11 meV per atom
Mass density: 3.18 Mg/m³

```
data_SbP4O12
_chemical_formula_sum 'Sb2 P8 O24'
_cell_length_a 7.154
_cell_length_b 8.471
_cell_length_c 7.541
_cell_angle_alpha 90.00
_cell_angle_beta 91.50
_cell_angle_gamma 90.00
_symmetry_space_group_name_H-M 'P 1 21 1'
_symmetry_Int_Tables_number 4
loop_
_symmetry_equiv_pos_as_xyz
'x,y,z'
'-x,y+1/2,-z'
loop_
_atom_site_label
_atom_site_type_symbol
_atom_site_fract_x
_atom_site_fract_y
_atom_site_fract_z
Sb1 Sb 0.250 0.000 0.248
P1 P 0.004 0.172 0.610
P2 P 0.086 0.440 0.093
P3 P 0.396 0.260 0.585
P4 P 0.438 0.644 0.083
O1 O 0.001 0.959 0.093
O2 O 0.011 0.074 0.791
O3 O 0.027 0.065 0.453
O4 O 0.084 0.283 0.179
O5 O 0.168 0.776 0.394
O6 O 0.184 0.281 0.644
O7 O 0.302 0.496 0.075
O8 O 0.337 0.800 0.063
O9 O 0.400 0.202 0.397
O10 O 0.405 0.119 0.044
O11 O 0.475 0.125 0.717
O12 O 0.487 0.417 0.623
```


No. 4
The following is a DFT calculation (PBE) of crystalline PrMgNi4 at its relaxed geometry.

Computed properties:
Total energy: -31.347 eV per formula unit
Mass density: 7.28 Mg/m³

```
data_PrMgNi4
_chemical_formula_sum 'Pr4 Mg4 Ni16'
_cell_length_a 7.148
_cell_length_b 7.148
_cell_length_c 7.148
_cell_angle_alpha 90.00
_cell_angle_beta 90.00
_cell_angle_gamma 90.00
_symmetry_space_group_name_H-M 'F -4 3 m'
_symmetry_Int_Tables_number 216
_symmetry_space_group_name_Hall 'F -4 2 3'
loop_
_atom_site_label
_atom_site_type_symbol
_atom_site_fract_x
_atom_site_fract_y
_atom_site_fract_z
Pr1 Pr 0.000 0.000 0.000
Mg1 Mg 0.250 0.250 0.250
Ni1 Ni 0.123 0.123 0.623
```


No. 5
The following is a DFT calculation (PBE) of crystalline Sr3BCNCl2 at its relaxed geometry.

Computed properties:
Total energy: -43.574 eV per formula unit
Mass density: 3.48 Mg/m³

```
data_Sr3BCNCl2
_chemical_formula_sum 'Sr12 B4 C4 N4 Cl8'
_cell_length_a 14.687
_cell_length_b 4.090
_cell_length_c 11.783
_cell_angle_alpha 90.00
_cell_angle_beta 90.00
_cell_angle_gamma 90.00
_symmetry_space_group_name_H-M 'P n m a'
_symmetry_Int_Tables_number 62
loop_
_symmetry_equiv_pos_as_xyz
'x,y,z'
'-x,-y,-z'
'-x+1/2,-y,z+1/2'
'x+1/2,y,-z+1/2'
'x+1/2,-y+1/2,-z+1/2'
'-x+1/2,y+1/2,z+1/2'
'-x,y+1/2,-z'
'x,-y+1/2,z'
loop_
_atom_site_label
_atom_site_type_symbol
_atom_site_fract_x
_atom_site_fract_y
_atom_site_fract_z
Sr1 Sr 0.117 0.250 0.131
Sr2 Sr 0.145 0.750 0.442
Sr3 Sr 0.173 0.750 0.809
B1 B 0.245 0.750 0.117
C1 C 0.219 0.750 0.235
N1 N 0.248 0.250 0.501
Cl1 Cl 0.000 0.250 0.361
Cl2 Cl 0.038 0.250 0.891
```


No. 6
The following is a DFT calculation (PBE) of crystalline HoAlFe at its relaxed geometry.

Computed properties:
Total energy: -17.721 eV per formula unit
Mass density: 7.71 Mg/m³

```
data_HoAlFe
_chemical_formula_sum 'Ho8 Al8 Fe8'
_cell_length_a 8.687
_cell_length_b 5.375
_cell_length_c 9.144
_cell_angle_alpha 90.00
_cell_angle_beta 90.00
_cell_angle_gamma 90.00
_symmetry_space_group_name_H-M 'A m m 2'
_symmetry_Int_Tables_number 38
loop_
_symmetry_equiv_pos_as_xyz
'x,y,z'
'-x,-y,z'
'-x,y,z'
'x,-y,z'
'x,y+1/2,z+1/2'
'-x,-y+1/2,z+1/2'
'-x,y+1/2,z+1/2'
'x,-y+1/2,z+1/2'
loop_
_atom_site_label
_atom_site_type_symbol
_atom_site_fract_x
_atom_site_fract_y
_atom_site_fract_z
Ho1 Ho 0.176 0.000 0.000
Ho2 Ho 0.304 0.000 0.666
Al1 Al 0.235 0.000 0.327
Al2 Al 0.500 0.247 0.919
Fe1 Fe 0.000 0.000 0.505
Fe2 Fe 0.000 0.231 0.744
Fe3 Fe 0.500 0.000 0.164
```


No. 7
The following is a DFT calculation (PBE) of crystalline Ca4AlZn43 at its relaxed geometry.

Computed properties:
Total energy: -73.800 eV per formula unit
Mass density: 6.36 Mg/m³

```
data_Ca4AlZn43
_chemical_formula_sum 'Ca8 Al2 Zn86'
_cell_length_a 6.866
_cell_length_b 15.103
_cell_length_c 15.116
_cell_angle_alpha 90.00
_cell_angle_beta 90.00
_cell_angle_gamma 90.00
_symmetry_space_group_name_H-M 'C 2 2 2'
_symmetry_Int_Tables_number 21
loop_
_symmetry_equiv_pos_as_xyz
'x,y,z'
'-x,-y,z'
'x,-y,-z'
'-x,y,-z'
'x+1/2,y+1/2,z'
'-x+1/2,-y+1/2,z'
'x+1/2,-y+1/2,-z'
'-x+1/2,y+1/2,-z'
loop_
_atom_site_label
_atom_site_type_symbol
_atom_site_fract_x
_atom_site_fract_y
_atom_site_fract_z
Ca1 Ca 0.000 0.000 0.000
Ca2 Ca 0.000 0.500 0.500
Ca3 Ca 0.250 0.250 0.250
Al1 Al 0.000 0.000 0.500
Zn1 Zn 0.000 0.500 0.000
Zn2 Zn 0.052 0.087 0.792
Zn3 Zn 0.052 0.293 0.586
Zn4 Zn 0.052 0.413 0.708
Zn5 Zn 0.053 0.207 0.914
Zn6 Zn 0.125 0.375 0.875
Zn7 Zn 0.126 0.125 0.625
Zn8 Zn 0.197 0.043 0.336
Zn9 Zn 0.197 0.457 0.164
Zn10 Zn 0.198 0.163 0.458
Zn11 Zn 0.198 0.337 0.042
Zn12 Zn 0.250 0.250 0.749
```


No. 8
The following is a DFT calculation (PBE) of crystalline K2LiSe2 at its relaxed geometry.

Computed properties:
Total energy: -11.427 eV per formula unit
Mass density: 2.13 Mg/m³

```
data_K2LiSe2
_chemical_formula_sum 'K2 Li1 Se2'
_cell_length_a 3.427
_cell_length_b 3.427
_cell_length_c 16.154
_cell_angle_alpha 90.00
_cell_angle_beta 90.00
_cell_angle_gamma 90.00
_symmetry_space_group_name_H-M 'P 4/m m m'
_symmetry_Int_Tables_number 123
_symmetry_space_group_name_Hall '-P 4 2'
loop_
_atom_site_label
_atom_site_type_symbol
_atom_site_fract_x
_atom_site_fract_y
_atom_site_fract_z
K1 K 0.000 0.000 0.170
Li1 Li 0.000 0.000 0.500
Se1 Se 0.000 0.000 0.353
```


No. 9
The following is a DFT calculation (PBE) of crystalline Sb8Cl2O11 at its relaxed geometry.

Computed properties:
Total energy: -117.232 eV per formula unit
Offset from the most stable computed form: 62 meV per atom
Mass density: 4.69 Mg/m³

```
data_Sb8Cl2O11
_chemical_formula_sum 'Sb8 Cl2 O11'
_cell_length_a 4.215
_cell_length_b 9.163
_cell_length_c 11.474
_cell_angle_alpha 82.32
_cell_angle_beta 86.84
_cell_angle_gamma 79.99
_symmetry_space_group_name_H-M 'P -1'
_symmetry_Int_Tables_number 2
loop_
_symmetry_equiv_pos_as_xyz
'x,y,z'
'-x,-y,-z'
loop_
_atom_site_label
_atom_site_type_symbol
_atom_site_fract_x
_atom_site_fract_y
_atom_site_fract_z
Sb1 Sb 0.134 0.140 0.063
Sb2 Sb 0.240 0.447 0.651
Sb3 Sb 0.279 0.053 0.682
Sb4 Sb 0.317 0.476 0.138
Cl1 Cl 0.079 0.810 0.484
O1 O 0.082 0.002 0.210
O2 O 0.199 0.537 0.806
O3 O 0.269 0.513 0.307
O4 O 0.286 0.243 0.744
O5 O 0.414 0.252 0.141
O6 O 0.500 0.000 0.000
```


No. 10
The following is a DFT calculation (PBE) of crystalline Tm2CuB4O10 at its relaxed geometry.

Computed properties:
Total energy: -133.989 eV per formula unit
Mass density: 6.49 Mg/m³

```
data_Tm2CuB4O10
_chemical_formula_sum 'Tm4 Cu2 B8 O20'
_cell_length_a 4.579
_cell_length_b 7.242
_cell_length_c 9.325
_cell_angle_alpha 90.00
_cell_angle_beta 90.26
_cell_angle_gamma 90.00
_symmetry_space_group_name_H-M 'P 1 21/c 1'
_symmetry_Int_Tables_number 14
loop_
_symmetry_equiv_pos_as_xyz
'x,y,z'
'-x,-y,-z'
'-x,y+1/2,-z+1/2'
'x,-y+1/2,z+1/2'
loop_
_atom_site_label
_atom_site_type_symbol
_atom_site_fract_x
_atom_site_fract_y
_atom_site_fract_z
Tm1 Tm 0.003 0.103 0.165
Cu1 Cu 0.000 0.000 0.500
B1 B 0.461 0.731 0.580
B2 B 0.472 0.098 0.663
O1 O 0.213 0.590 0.833
O2 O 0.228 0.610 0.541
O3 O 0.322 0.589 0.138
O4 O 0.340 0.164 0.802
O5 O 0.358 0.223 0.549
```


No. 11
The following is a DFT calculation (PBE) of crystalline YCo2B4Rh2 at its relaxed geometry.

Computed properties:
Total energy: -66.589 eV per formula unit
Mass density: 7.68 Mg/m³

```
data_YCo2B4Rh2
_chemical_formula_sum 'Y2 Co4 B8 Rh4'
_cell_length_a 5.219
_cell_length_b 5.219
_cell_length_c 7.240
_cell_angle_alpha 90.00
_cell_angle_beta 90.00
_cell_angle_gamma 90.00
_symmetry_space_group_name_H-M 'P 42 m c'
_symmetry_Int_Tables_number 105
loop_
_symmetry_equiv_pos_as_xyz
'x,y,z'
'-y,x,z+1/2'
'-x,-y,z'
'y,-x,z+1/2'
'-x,y,z'
'y,x,z+1/2'
'x,-y,z'
'-y,-x,z+1/2'
loop_
_atom_site_label
_atom_site_type_symbol
_atom_site_fract_x
_atom_site_fract_y
_atom_site_fract_z
Y1 Y 0.000 0.500 0.000
Co1 Co 0.000 0.252 0.351
B1 B 0.000 0.164 0.648
B2 B 0.316 0.500 0.338
Rh1 Rh 0.247 0.500 0.634
```


No. 12
The following is a DFT calculation (PBE) of crystalline Ba4Hf3O10 at its relaxed geometry.

Computed properties:
Total energy: -142.713 eV per formula unit
Mass density: 7.69 Mg/m³

```
data_Ba4Hf3O10
_chemical_formula_sum 'Ba16 Hf12 O40'
_cell_length_a 30.442
_cell_length_b 5.955
_cell_length_c 5.935
_cell_angle_alpha 90.00
_cell_angle_beta 90.00
_cell_angle_gamma 90.00
_symmetry_space_group_name_H-M 'C m c e'
_symmetry_Int_Tables_number 64
_symmetry_space_group_name_Hall '-C 2ac 2'
loop_
_atom_site_label
_atom_site_type_symbol
_atom_site_fract_x
_atom_site_fract_y
_atom_site_fract_z
Ba1 Ba 0.069 0.000 0.000
Ba2 Ba 0.204 0.000 0.000
Hf1 Hf 0.000 0.000 0.500
Hf2 Hf 0.139 0.000 0.500
O1 O 0.000 0.230 0.230
O2 O 0.069 0.000 0.500
O3 O 0.138 0.239 0.761
O4 O 0.208 0.000 0.500
```